(1)
DFT (r2SCAN) results for a geometry-optimized Ta2VOs structure. Values from VASP.

The structure in Quantum ESPRESSO input format:
```
&SYSTEM
  ibrav = 0, nat = 4, ntyp = 3
/
ATOMIC_SPECIES
Ta 180.95 Ta.upf
V 50.94 V.upf
Os 190.23 Os.upf
ATOMIC_POSITIONS angstrom
Ta 1.578 1.578 1.578
Ta 4.735 4.735 4.735
V 0.000 0.000 0.000
Os 3.157 3.157 3.157
CELL_PARAMETERS angstrom
0.000 3.157 3.157
3.157 0.000 3.157
3.157 3.157 0.000
```

ρ: 15.919 g/cm³
Magnetic moment: 0.001 μB/atom
Formation energy: -0.38 eV per atom

(2)
DFT (r2SCAN) results for a geometry-optimized Ta2OsW structure. Values from VASP.

The structure in Quantum ESPRESSO input format:
```
&SYSTEM
  ibrav = 0, nat = 4, ntyp = 3
/
ATOMIC_SPECIES
Ta 180.95 Ta.upf
Os 190.23 Os.upf
W 183.84 W.upf
ATOMIC_POSITIONS angstrom
Ta 1.600 1.600 1.600
Ta 4.800 4.800 4.800
Os 0.000 0.000 0.000
W 3.200 3.200 3.200
CELL_PARAMETERS angstrom
0.000 3.200 3.200
3.200 0.000 3.200
3.200 3.200 0.000
```

ρ: 18.649 g/cm³
Magnetic moment: 0.000 μB/atom
Formation energy: -0.35 eV per atom

(3)
DFT (r2SCAN) results for a geometry-optimized V2TcOs structure. Values from VASP.

The structure in Quantum ESPRESSO input format:
```
&SYSTEM
  ibrav = 0, nat = 4, ntyp = 3
/
ATOMIC_SPECIES
V 50.94 V.upf
Tc 98.00 Tc.upf
Os 190.23 Os.upf
ATOMIC_POSITIONS angstrom
V 1.504 1.504 1.504
V 4.511 4.511 4.511
Tc 0.000 0.000 0.000
Os 3.007 3.007 3.007
CELL_PARAMETERS angstrom
0.000 3.007 3.007
3.007 0.000 3.007
3.007 3.007 0.000
```

ρ: 11.911 g/cm³
Magnetic moment: 0.000 μB/atom
Formation energy: -0.42 eV per atom

(4)
DFT (r2SCAN) results for a geometry-optimized TmThOs2 structure. Values from VASP.

The structure in Quantum ESPRESSO input format:
```
&SYSTEM
  ibrav = 0, nat = 4, ntyp = 3
/
ATOMIC_SPECIES
Tm 168.93 Tm.upf
Th 232.04 Th.upf
Os 190.23 Os.upf
ATOMIC_POSITIONS angstrom
Tm 0.000 0.000 0.000
Th 3.461 3.461 3.461
Os 1.731 1.731 1.731
Os 5.192 5.192 5.192
CELL_PARAMETERS angstrom
0.000 3.461 3.461
3.461 0.000 3.461
3.461 3.461 0.000
```

ρ: 15.647 g/cm³
Magnetic moment: 0.000 μB/atom
Formation energy: -0.30 eV per atom

(5)
DFT (r2SCAN) results for a geometry-optimized TiOs structure. Values from VASP.

The structure in Quantum ESPRESSO input format:
```
&SYSTEM
  ibrav = 0, nat = 2, ntyp = 2
/
ATOMIC_SPECIES
Ti 47.87 Ti.upf
Os 190.23 Os.upf
ATOMIC_POSITIONS angstrom
Ti 0.000 0.000 0.000
Os 1.542 1.542 1.542
CELL_PARAMETERS angstrom
3.085 0.000 0.000
0.000 3.085 0.000
0.000 0.000 3.085
```

ρ: 13.471 g/cm³
Magnetic moment: 0.000 μB/atom
Formation energy: -0.83 eV per atom

(6)
DFT (r2SCAN) results for a geometry-optimized Ti2VOs structure. Values from VASP.

The structure in Quantum ESPRESSO input format:
```
&SYSTEM
  ibrav = 0, nat = 8, ntyp = 3
/
ATOMIC_SPECIES
V 50.94 V.upf
Ti 47.87 Ti.upf
Os 190.23 Os.upf
ATOMIC_POSITIONS angstrom
V 7.811 1.565 -1.565
V 4.686 1.562 1.559
Ti 3.123 0.001 -0.001
Ti 3.123 0.000 3.121
Ti 6.248 3.124 -0.004
Ti 6.248 0.002 -0.003
Os 4.687 1.563 -1.564
Os 1.562 1.561 1.560
CELL_PARAMETERS angstrom
0.000 3.121 3.121
3.123 -3.122 0.001
6.250 3.126 -3.127
```

ρ: 9.182 g/cm³
Magnetic moment: 0.704 μB/atom
Formation energy: -0.50 eV per atom

(7)
DFT (r2SCAN) results for a geometry-optimized TmOs2 structure. Values from VASP.

The structure in Quantum ESPRESSO input format:
```
&SYSTEM
  ibrav = 0, nat = 12, ntyp = 2
/
ATOMIC_SPECIES
Tm 168.93 Tm.upf
Os 190.23 Os.upf
ATOMIC_POSITIONS angstrom
Tm 0.000 3.030 0.580
Tm 0.000 3.030 3.826
Tm 2.624 1.515 4.985
Tm 2.624 1.515 8.232
Os 0.000 0.000 0.000
Os 0.000 0.000 4.406
Os 0.000 1.563 6.609
Os -1.271 3.764 6.609
Os 1.354 0.781 2.203
Os 1.271 3.764 6.609
Os 3.895 0.781 2.203
Os 2.624 2.982 2.203
CELL_PARAMETERS angstrom
5.248 0.000 0.000
-2.624 4.545 0.000
0.000 0.000 8.811
```

ρ: 17.361 g/cm³
Magnetic moment: 0.000 μB/atom
Formation energy: -0.45 eV per atom

(8)
DFT (r2SCAN) results for a geometry-optimized Tm2ZnOs structure. Values from VASP.

The structure in Quantum ESPRESSO input format:
```
&SYSTEM
  ibrav = 0, nat = 4, ntyp = 3
/
ATOMIC_SPECIES
Tm 168.93 Tm.upf
Zn 65.41 Zn.upf
Os 190.23 Os.upf
ATOMIC_POSITIONS angstrom
Tm 1.700 1.700 1.700
Tm 5.100 5.100 5.100
Zn 0.000 0.000 0.000
Os 3.400 3.400 3.400
CELL_PARAMETERS angstrom
0.000 3.400 3.400
3.400 0.000 3.400
3.400 3.400 0.000
```

ρ: 12.535 g/cm³
Magnetic moment: 0.000 μB/atom
Formation energy: -0.42 eV per atom

(9)
DFT (r2SCAN) results for a geometry-optimized UOs2 structure. Values from VASP.

The structure in Quantum ESPRESSO input format:
```
&SYSTEM
  ibrav = 0, nat = 6, ntyp = 2
/
ATOMIC_SPECIES
U 238.03 U.upf
Os 190.23 Os.upf
ATOMIC_POSITIONS angstrom
U 0.942 0.942 0.942
U 6.595 6.595 6.595
Os 3.769 1.884 1.884
Os 1.884 3.769 1.884
Os 1.884 1.884 3.769
Os 3.769 3.769 3.769
CELL_PARAMETERS angstrom
0.000 3.769 3.769
3.769 0.000 3.769
3.769 3.769 0.000
```

ρ: 19.189 g/cm³
Magnetic moment: 0.689 μB/atom
Formation energy: -0.19 eV per atom

(10)
DFT (r2SCAN) results for a geometry-optimized YbOs3 structure. Values from VASP.

The structure in Quantum ESPRESSO input format:
```
&SYSTEM
  ibrav = 0, nat = 4, ntyp = 2
/
ATOMIC_SPECIES
Yb 173.04 Yb.upf
Os 190.23 Os.upf
ATOMIC_POSITIONS angstrom
Yb 0.000 0.000 0.000
Os 1.991 0.000 2.029
Os 0.000 0.000 4.059
Os 0.000 1.991 2.029
CELL_PARAMETERS angstrom
-1.991 1.991 4.059
1.991 -1.991 4.059
1.991 1.991 -4.059
```

ρ: 19.182 g/cm³
Magnetic moment: 0.000 μB/atom
Formation energy: 0.27 eV per atom

(11)
DFT (r2SCAN) results for a geometry-optimized ZrOs2 structure. Values from VASP.

The structure in Quantum ESPRESSO input format:
```
&SYSTEM
  ibrav = 0, nat = 12, ntyp = 2
/
ATOMIC_SPECIES
Zr 91.22 Zr.upf
Os 190.23 Os.upf
ATOMIC_POSITIONS angstrom
Zr 0.000 3.007 0.574
Zr 0.000 3.007 3.720
Zr 2.604 1.504 4.868
Zr 2.604 1.504 8.014
Os 0.000 0.000 0.000
Os 0.000 0.000 4.294
Os 0.000 1.556 6.441
Os -1.257 3.733 6.441
Os 1.347 0.778 2.147
Os 1.257 3.733 6.441
Os 3.861 0.778 2.147
Os 2.604 2.955 2.147
CELL_PARAMETERS angstrom
5.209 0.000 0.000
-2.604 4.511 0.000
0.000 0.000 8.588
```

ρ: 15.526 g/cm³
Magnetic moment: 0.000 μB/atom
Formation energy: -0.45 eV per atom

(12)
DFT (r2SCAN) results for a geometry-optimized P2Pb3S8 structure. Values from VASP.

The structure in Quantum ESPRESSO input format:
```
&SYSTEM
  ibrav = 0, nat = 52, ntyp = 3
/
ATOMIC_SPECIES
P 30.97 P.upf
Pb 207.20 Pb.upf
S 32.06 S.upf
ATOMIC_POSITIONS angstrom
P 0.821 0.821 0.821
P 1.686 7.224 9.388
P 3.851 3.851 3.851
P 4.717 10.254 6.358
P 6.358 4.717 10.254
P 7.224 9.388 1.686
P 9.388 1.686 7.224
P 10.254 6.358 4.717
Pb 0.319 2.902 3.987
Pb 1.550 10.756 8.439
Pb 2.636 7.088 5.856
Pb 2.902 3.987 0.319
Pb 3.987 0.319 2.902
Pb 5.219 8.173 9.524
Pb 5.856 2.636 7.088
Pb 7.088 5.856 2.636
Pb 8.173 9.524 5.219
Pb 8.439 1.550 10.756
Pb 9.524 5.219 8.173
Pb 10.756 8.439 1.550
S 0.048 8.188 4.510
S 0.379 5.159 5.916
S 0.518 6.055 10.557
S 0.594 8.079 7.874
S 1.027 11.027 2.651
S 2.337 4.943 2.996
S 2.541 8.738 10.481
S 2.651 1.027 11.027
S 2.887 10.048 5.489
S 2.996 2.337 4.943
S 3.201 6.131 8.533
S 4.510 0.048 8.188
S 4.943 2.996 2.337
S 5.019 5.019 5.019
S 5.159 5.916 0.379
S 5.489 2.887 10.048
S 5.585 8.424 6.564
S 5.916 0.379 5.159
S 6.055 10.557 0.518
S 6.131 8.533 3.201
S 6.564 5.585 8.424
S 7.874 0.594 8.079
S 8.079 7.874 0.594
S 8.188 4.510 0.048
S 8.424 6.564 5.585
S 8.533 3.201 6.131
S 8.738 10.481 2.541
S 10.048 5.489 2.887
S 10.481 2.541 8.738
S 10.557 0.518 6.055
S 10.696 10.696 10.696
S 11.027 2.651 1.027
CELL_PARAMETERS angstrom
11.075 0.000 0.000
0.000 11.075 0.000
0.000 0.000 11.075
```

ρ: 4.597 g/cm³
Magnetic moment: 0.000 μB/atom
Formation energy: -0.53 eV per atom

Q: What is the magnetic moment in the tenth record?
A: 0.000 μB/atom

Q: Which of these has the highest formation energy?
A: YbOs3

Q: The highest formation energy belongs to which entry?
A: YbOs3